DFT (r²SCAN) results for crystalline Nb2SnO6 at its relaxed geometry.

Results
- E_form (kJ/mol of atoms) = -238.85
- calculated volume (Å³ per cell) = 479
- density (Mg/m³) = 5.56

```
data_Nb2SnO6
_symmetry_space_group_name_H-M 'C 1 2/c 1'
_symmetry_Int_Tables_number 15
_symmetry_space_group_name_Hall '-C 2yc'
_cell_length_a 17.2528
_cell_length_b 4.9297
_cell_length_c 5.6290
_cell_angle_alpha 90.00
_cell_angle_beta 91.46
_cell_angle_gamma 90.00
loop_
_atom_site_label
_atom_site_type_symbol
_atom_site_fract_x
_atom_site_fract_y
_atom_site_fract_z
_atom_site_occupancy
Nb1 Nb 0.1696 0.2407 0.1745 1
Sn1 Sn 0.0000 0.2263 0.7500 1
O1 O 0.0722 0.0788 0.0907 1
O2 O 0.1426 0.4605 0.4276 1
O3 O 0.2193 0.0617 0.8516 1
```



DFT (r²SCAN) results for crystalline Sr4Nb2O9 at its relaxed geometry.

Results
- E_form (kJ/mol of atoms) = -299.74
- calculated volume (Å³ per cell) = 477
- density (Mg/m³) = 4.74

```
data_Sr4Nb2O9
_symmetry_space_group_name_H-M 'P -3'
_symmetry_Int_Tables_number 147
_symmetry_space_group_name_Hall '-P 3'
_cell_length_a 5.9087
_cell_length_b 5.9087
_cell_length_c 15.7628
_cell_angle_alpha 90.00
_cell_angle_beta 90.00
_cell_angle_gamma 120.00
loop_
_atom_site_label
_atom_site_type_symbol
_atom_site_fract_x
_atom_site_fract_y
_atom_site_fract_z
_atom_site_occupancy
Sr1 Sr 0.0000 0.0000 0.0000 1
Sr2 Sr 0.0000 0.0000 0.2500 1
Sr3 Sr 0.0000 0.0000 0.5000 1
Sr4 Sr 0.3333 0.6667 0.1397 1
Sr5 Sr 0.3333 0.6667 0.3614 1
Nb1 Nb 0.3333 0.6667 0.6536 1
Nb2 Nb 0.3333 0.6667 0.8458 1
O1 O 0.0360 0.5897 0.7497 1
O2 O 0.0794 0.3482 0.6023 1
O3 O 0.0798 0.3479 0.8970 1
```



DFT (r²SCAN) results for crystalline Sr5Nb4O15 at its relaxed geometry.

Results
- E_form (kJ/mol of atoms) = -299.38
- calculated volume (Å³ per cell) = 652
- relative energy among the computed polymorphs (eV per atom) = 0.019
- density (Mg/m³) = 5.35

```
data_Sr5Nb4O15
_symmetry_space_group_name_H-M 'C 1 2/m 1'
_symmetry_Int_Tables_number 12
_symmetry_space_group_name_Hall '-C 2y'
_cell_length_a 9.8869
_cell_length_b 5.7002
_cell_length_c 11.5665
_cell_angle_alpha 90.00
_cell_angle_beta 90.26
_cell_angle_gamma 90.00
loop_
_atom_site_label
_atom_site_type_symbol
_atom_site_fract_x
_atom_site_fract_y
_atom_site_fract_z
_atom_site_occupancy
Sr1 Sr 0.0000 0.0000 0.0000 1
Sr2 Sr 0.1664 0.5000 0.2195 1
Sr3 Sr 0.1676 0.5000 0.5622 1
Nb1 Nb 0.0003 0.0000 0.3214 1
Nb2 Nb 0.1659 0.5000 0.8939 1
O1 O 0.0000 0.5000 0.0000 1
O2 O 0.0798 0.2467 0.8067 1
O3 O 0.0856 0.2551 0.3930 1
O4 O 0.1679 0.0000 0.1960 1
O5 O 0.1697 0.0000 0.6082 1
O6 O 0.2500 0.2500 0.0000 1
```